No. 1
# HoPtF7

A geometry-optimized HoPtF7 structure (PBE-GGA, Materials Project).

```
HoPtF7
1.0
5.533 0.000 0.000
0.000 8.856 0.000
0.000 5.525 10.611
Ho Pt F
4 4 28
Direct
0.761 0.814 0.764
0.261 0.186 0.736
0.239 0.186 0.236
0.739 0.814 0.264
0.759 0.272 0.957
0.259 0.728 0.543
0.241 0.728 0.043
0.741 0.272 0.457
0.437 0.703 0.915
0.937 0.297 0.585
0.563 0.297 0.085
0.063 0.703 0.415
0.439 0.278 0.543
0.939 0.722 0.957
0.561 0.722 0.457
0.061 0.278 0.043
0.775 0.522 0.858
0.275 0.478 0.642
0.225 0.478 0.142
0.725 0.522 0.358
0.754 0.023 0.051
0.254 0.977 0.449
0.246 0.977 0.949
0.746 0.023 0.551
0.965 0.725 0.637
0.465 0.275 0.863
0.035 0.275 0.363
0.535 0.725 0.137
0.051 0.746 0.176
0.551 0.254 0.324
0.949 0.254 0.824
0.449 0.746 0.676
0.416 0.970 0.233
0.916 0.030 0.267
0.584 0.030 0.767
0.084 0.970 0.733
```

Results
ΔH_f (0 K)	-2.919	eV per atom

---

No. 2
# K5Pb24

A geometry-optimized K5Pb24 structure (PBE-GGA, Materials Project).

```
K5Pb24
1.0
-6.286 6.286 6.286
6.286 -6.286 6.286
6.286 6.286 -6.286
K Pb
5 24
Direct
0.000 0.364 0.000
0.364 0.000 0.000
0.000 0.000 0.364
0.636 0.636 0.636
0.000 0.000 0.000
0.810 0.199 0.199
0.000 0.611 0.801
0.000 0.801 0.611
0.611 0.801 0.000
0.389 0.389 0.190
0.190 0.389 0.389
0.199 0.810 0.199
0.722 0.402 0.402
0.679 0.679 0.278
0.598 0.321 0.000
0.000 0.598 0.321
0.000 0.321 0.598
0.598 0.000 0.321
0.679 0.278 0.679
0.321 0.598 0.000
0.321 0.000 0.598
0.402 0.722 0.402
0.402 0.402 0.722
0.278 0.679 0.679
0.199 0.199 0.810
0.801 0.611 0.000
0.611 0.000 0.801
0.801 0.000 0.611
0.389 0.190 0.389
```

Results
ΔH_f (0 K)	-0.089	eV per atom

---

No. 3
# BaSrI4

A geometry-optimized BaSrI4 structure (PBE-GGA, Materials Project).

```
BaSrI4
1.0
-10.811 17.974 0.378
-2.354 -1.529 5.395
7.720 4.545 4.659
Ba Sr I
4 4 16
Direct
0.865 0.185 0.755
0.635 0.185 0.255
0.365 0.815 0.745
0.135 0.815 0.245
0.154 0.295 0.755
0.346 0.295 0.255
0.654 0.705 0.745
0.846 0.705 0.245
0.698 0.205 0.782
0.398 0.308 0.560
0.305 0.301 0.917
0.802 0.205 0.282
0.013 0.255 0.648
0.102 0.308 0.060
0.195 0.301 0.417
0.487 0.255 0.148
0.513 0.745 0.852
0.805 0.699 0.583
0.898 0.692 0.940
0.987 0.745 0.352
0.198 0.795 0.718
0.695 0.699 0.083
0.602 0.692 0.440
0.302 0.795 0.218
```

Results
ΔH_f (0 K)	-1.915	eV per atom

---

No. 4
# NdErZn2

A geometry-optimized NdErZn2 structure (PBE-GGA, Materials Project).

```
NdErZn2
1.0
-1.615 -4.260 -2.343
-3.405 0.309 -3.814
1.450 -0.982 -4.814
Nd Er Zn
1 1 2
Direct
0.000 0.000 0.000
0.500 0.500 0.500
0.250 0.250 0.250
0.750 0.750 0.750
```

Results
ΔH_f (0 K)	-0.325	eV per atom

---

No. 5
# LiZrPt2

A geometry-optimized LiZrPt2 structure (PBE-GGA, Materials Project).

```
LiZrPt2
1.0
0.000 3.222 3.222
3.222 0.000 3.222
3.222 3.222 0.000
Li Zr Pt
1 1 2
Direct
0.500 0.500 0.500
0.000 0.000 0.000
0.250 0.250 0.250
0.750 0.750 0.750
```

Results
ΔH_f (0 K)	-0.873	eV per atom

---

No. 6
# Se2SN2Cl2

A geometry-optimized Se2SN2Cl2 structure (PBE-GGA, Materials Project).

```
Se2SN2Cl2
1.0
-0.277 -4.380 6.635
-2.016 -6.756 -4.543
19.989 -4.520 -2.148
Se S N Cl
16 8 16 16
Direct
0.420 0.583 0.097
0.920 0.417 0.403
0.920 0.917 0.097
0.080 0.583 0.597
0.692 0.000 0.703
0.308 0.500 0.203
0.808 0.000 0.203
0.420 0.083 0.403
0.080 0.083 0.903
0.192 0.500 0.703
0.580 0.917 0.597
0.692 0.500 0.797
0.308 0.000 0.297
0.192 0.000 0.797
0.808 0.500 0.297
0.580 0.417 0.903
0.563 0.759 0.879
0.063 0.241 0.621
0.437 0.741 0.379
0.063 0.741 0.879
0.937 0.259 0.121
0.563 0.259 0.621
0.937 0.759 0.379
0.437 0.241 0.121
0.512 0.116 0.575
0.012 0.884 0.925
0.488 0.884 0.425
0.151 0.293 0.685
0.151 0.793 0.815
0.349 0.293 0.185
0.849 0.207 0.185
0.651 0.707 0.815
0.988 0.116 0.075
0.349 0.793 0.315
0.012 0.384 0.575
0.988 0.616 0.425
0.488 0.384 0.075
0.651 0.207 0.685
0.849 0.707 0.315
0.512 0.616 0.925
0.260 0.367 0.839
0.325 0.573 0.536
0.825 0.927 0.536
0.260 0.867 0.661
0.740 0.633 0.161
0.825 0.427 0.964
0.675 0.427 0.464
0.675 0.927 0.036
0.760 0.133 0.839
0.740 0.133 0.339
0.175 0.573 0.036
0.240 0.867 0.161
0.175 0.073 0.464
0.240 0.367 0.339
0.325 0.073 0.964
0.760 0.633 0.661
```

Results
E above lowest polymorph	0.010	eV/atom
ΔH_f (0 K)	0.033	eV per atom

---

No. 7
# LiBeB

A geometry-optimized LiBeB structure (PBE-GGA, Materials Project).

```
LiBeB
1.0
1.676 1.940 2.049
1.586 -1.700 -2.316
-1.344 9.488 -7.883
Li Be B
4 4 4
Direct
0.000 0.000 0.430
0.333 0.667 0.092
0.333 0.667 0.291
0.667 0.333 0.754
0.667 0.333 0.562
0.333 0.667 0.892
0.667 0.333 0.939
0.000 0.000 0.611
0.000 0.000 0.208
0.333 0.667 0.578
0.667 0.333 0.207
0.000 0.000 0.906
```

Results
E above lowest polymorph	0.116	eV/atom
ΔH_f (0 K)	-0.006	eV per atom

---

No. 8
# Sc4C3

A geometry-optimized Sc4C3 structure (PBE-GGA, Materials Project).

```
Sc4C3
1.0
-2.912 -0.521 5.515
-2.844 4.375 -3.455
-0.212 -5.490 -2.998
Sc C
8 6
Direct
0.500 0.000 0.401
0.599 0.599 0.599
0.000 0.401 0.500
0.401 0.500 0.000
0.000 0.901 0.500
0.901 0.500 0.000
0.500 0.000 0.901
0.099 0.099 0.099
0.875 0.125 0.750
0.375 0.250 0.625
0.125 0.750 0.875
0.750 0.875 0.125
0.250 0.625 0.375
0.625 0.375 0.250
```

Results
ΔH_f (0 K)	-0.485	eV per atom
maximum piezoelectric response	0.8	C/m2

---

No. 9
# TbOF

A geometry-optimized TbOF structure (PBE-GGA, Materials Project).

```
TbOF
1.0
2.200 4.133 0.000
-2.200 4.133 0.000
0.000 0.575 4.461
Tb O F
2 2 2
Direct
0.345 0.345 0.268
0.655 0.655 0.732
0.387 0.387 0.782
0.613 0.613 0.218
0.111 0.111 0.652
0.889 0.889 0.348
```

Results
ΔH_f (0 K)	-3.864	eV per atom

---

No. 10
# Mg3Si2

A geometry-optimized Mg3Si2 structure (PBE-GGA, Materials Project).

```
Mg3Si2
1.0
-2.143 3.960 -2.367
-1.264 -3.495 -4.268
-10.526 -3.334 8.194
Mg Si
12 8
Direct
0.412 0.895 0.868
0.071 0.417 0.876
0.000 0.000 0.000
0.531 0.382 0.752
0.962 0.521 0.625
0.588 0.105 0.132
0.479 0.103 0.376
0.038 0.479 0.375
0.000 0.000 0.500
0.469 0.618 0.248
0.929 0.583 0.124
0.521 0.897 0.624
0.406 0.664 0.048
0.070 0.070 0.698
0.594 0.336 0.952
0.874 0.810 0.797
0.402 0.371 0.550
0.126 0.190 0.203
0.598 0.629 0.450
0.930 0.930 0.302
```

Results
ΔH_f (0 K)	0.029	eV per atom

---

No. 11
# K3Ge7HO20

A geometry-optimized K3Ge7HO20 structure (PBE-GGA, Materials Project).

```
K3Ge7HO20
1.0
5.550 -5.496 0.000
5.550 5.496 0.000
0.107 0.000 7.810
K Ge H O
3 7 1 20
Direct
0.982 0.457 0.982
0.982 0.982 0.457
0.457 0.982 0.982
0.983 0.488 0.488
0.488 0.983 0.488
0.488 0.488 0.983
0.353 0.353 0.353
0.325 0.639 0.639
0.639 0.639 0.325
0.639 0.325 0.639
0.550 0.550 0.550
0.814 0.814 0.814
0.808 0.234 0.234
0.234 0.234 0.808
0.234 0.808 0.234
0.118 0.360 0.360
0.360 0.118 0.360
0.360 0.360 0.118
0.097 0.625 0.625
0.344 0.871 0.623
0.344 0.623 0.871
0.871 0.623 0.344
0.623 0.871 0.344
0.625 0.625 0.097
0.871 0.344 0.623
0.625 0.097 0.625
0.623 0.344 0.871
0.621 0.621 0.621
0.611 0.382 0.382
0.382 0.382 0.611
0.382 0.611 0.382
```

Results
ΔH_f (0 K)	-1.516	eV per atom

---

No. 12
# CaYC2O8

A geometry-optimized CaYC2O8 structure (PBE-GGA, Materials Project).

```
CaYC2O8
1.0
-4.295 -6.141 -2.170
5.898 -2.565 -4.417
7.790 -11.481 17.069
Ca Y C O
8 8 16 64
Direct
0.996 0.263 0.188
0.004 0.737 0.688
0.237 0.496 0.438
0.504 0.763 0.062
0.763 0.504 0.938
0.496 0.237 0.562
0.263 0.996 0.812
0.737 0.004 0.312
0.501 0.241 0.085
0.499 0.759 0.585
0.259 0.001 0.335
0.999 0.741 0.165
0.741 0.999 0.835
0.001 0.259 0.665
0.241 0.501 0.915
0.759 0.499 0.415
0.056 0.310 0.334
0.944 0.690 0.834
0.190 0.556 0.584
0.444 0.810 0.916
0.810 0.444 0.084
0.556 0.190 0.416
0.310 0.056 0.666
0.690 0.944 0.166
0.184 0.046 0.086
0.816 0.954 0.586
0.454 0.684 0.336
0.316 0.546 0.164
0.546 0.316 0.836
0.684 0.454 0.664
0.046 0.184 0.914
0.954 0.816 0.414
0.454 0.462 0.155
0.546 0.538 0.655
0.038 0.954 0.405
0.046 0.962 0.095
0.962 0.046 0.905
0.954 0.038 0.595
0.462 0.454 0.845
0.538 0.546 0.345
0.473 0.118 0.280
0.527 0.882 0.780
0.382 0.973 0.530
0.027 0.618 0.970
0.618 0.027 0.030
0.973 0.382 0.470
0.118 0.473 0.720
0.882 0.527 0.220
0.555 0.033 0.156
0.445 0.967 0.656
0.467 0.055 0.406
0.945 0.533 0.094
0.533 0.945 0.906
0.055 0.467 0.594
0.033 0.555 0.844
0.967 0.445 0.344
0.171 0.927 0.231
0.829 0.073 0.731
0.573 0.671 0.481
0.329 0.427 0.019
0.427 0.329 0.981
0.671 0.573 0.519
0.927 0.171 0.769
0.073 0.829 0.269
0.213 0.188 0.116
0.787 0.812 0.616
0.312 0.713 0.366
0.287 0.688 0.134
0.688 0.287 0.866
0.713 0.312 0.634
0.188 0.213 0.884
0.812 0.787 0.384
0.300 0.994 0.048
0.700 0.006 0.548
0.506 0.800 0.298
0.200 0.494 0.202
0.494 0.200 0.798
0.800 0.506 0.702
0.994 0.300 0.952
0.006 0.700 0.452
0.509 0.310 0.454
0.491 0.690 0.954
0.190 0.009 0.704
0.991 0.810 0.796
0.810 0.991 0.204
0.009 0.190 0.296
0.310 0.509 0.546
0.690 0.491 0.046
0.200 0.285 0.363
0.800 0.715 0.863
0.215 0.700 0.613
0.300 0.785 0.887
0.785 0.300 0.113
0.700 0.215 0.387
0.285 0.200 0.637
0.715 0.800 0.137
```

Results
ΔH_f (0 K)	-1.969	eV per atom